Here is a relaxed structure of LaEuS2 from Materials Project. Energies are from PBE-GGA.

## Properties
Formation energy from the elements: -2.40 eV per atom
Crystal system: trigonal
VASP energy: -96.2 eV/cell
Space-group type: R-3m (166)
Volume: 303.4 Å³/cell

abc: 4.154 4.154 20.303
angles: 90.00 90.00 120.00
Fractional positions:
La: 0.000 0.000 0.000
La: 0.333 0.667 0.667
La: 0.667 0.333 0.333
Eu: 0.000 0.000 0.500
Eu: 0.333 0.667 0.167
Eu: 0.667 0.333 0.833
S: 0.000 0.000 0.249
S: 0.000 0.000 0.751
S: 0.333 0.667 0.418
S: 0.333 0.667 0.916
S: 0.667 0.333 0.084
S: 0.667 0.333 0.582